(1)
## Tm5Sb3 (meta-GGA r2SCAN)

Data for a geometry-optimized Tm5Sb3 structure.

Cell: 8.821 8.821 6.206 Å, 90.00 90.00 120.00°
Element x y z (fractional)
1 Tm 0.753 0.000 0.750
2 Tm 0.000 0.247 0.250
3 Tm 0.333 0.667 0.000
4 Tm 0.247 0.000 0.250
5 Tm 0.333 0.667 0.500
6 Tm 0.000 0.753 0.750
7 Tm 0.247 0.247 0.750
8 Tm 0.753 0.753 0.250
9 Tm 0.667 0.333 0.500
10 Tm 0.667 0.333 0.000
11 Sb 0.388 0.000 0.750
12 Sb 0.612 0.000 0.250
13 Sb 0.000 0.388 0.750
14 Sb 0.388 0.388 0.250
15 Sb 0.612 0.612 0.750
16 Sb 0.000 0.612 0.250

The value obtained for the formation energy is -0.9913 eV/atom. The total DFT energy (no corrections) is -521.3 eV per cell. Its space-group type is No. 193. The calculated volume comes out at 418 Å³ per cell.

***

(2)
## TmZrSb (meta-GGA r2SCAN)

Data for a geometry-optimized TmZrSb structure.

Cell: 4.249 4.249 8.737 Å, 104.07 104.07 90.00°
Element x y z (fractional)
1 Zr 0.000 0.500 0.000
2 Zr 0.500 0.000 0.000
3 Tm 0.675 0.675 0.351
4 Tm 0.325 0.325 0.649
5 Sb 0.864 0.864 0.729
6 Sb 0.136 0.136 0.271

The value obtained for the formation energy is -0.8829 eV/atom. The total DFT energy (no corrections) is -172.5 eV per cell. Its space-group type is No. 139. The calculated volume comes out at 148 Å³ per cell.

***

(3)
## USb (meta-GGA r2SCAN)

Data for a geometry-optimized USb structure.

Cell: 3.753 3.753 3.753 Å, 90.00 90.00 90.00°
Element x y z (fractional)
1 U 0.500 0.500 0.500
2 Sb 0.000 0.000 0.000

The value obtained for the formation energy is -0.5763 eV/atom. The total DFT energy (no corrections) is -106.8 eV per cell. Its space-group type is No. 221. The calculated volume comes out at 53 Å³ per cell.

***

(4)
## USb2 (meta-GGA r2SCAN)

Data for a geometry-optimized USb2 structure.

Cell: 4.326 4.326 8.941 Å, 90.00 90.00 90.00°
Element x y z (fractional)
1 Sb 0.250 0.250 0.360
2 Sb 0.750 0.750 0.640
3 Sb 0.250 0.750 0.000
4 Sb 0.750 0.250 0.000
5 U 0.750 0.750 0.277
6 U 0.250 0.250 0.723

The value obtained for the formation energy is -0.5145 eV/atom. The total DFT energy (no corrections) is -265.8 eV per cell. Its space-group type is No. 129. The calculated volume comes out at 167 Å³ per cell.

***

(5)
## YUSb2 (meta-GGA r2SCAN)

Data for a geometry-optimized YUSb2 structure.

Cell: 7.782 7.782 7.782 Å, 32.68 32.68 32.68°
Element x y z (fractional)
1 Sb 0.752 0.752 0.752
2 Sb 0.248 0.248 0.248
3 Y 0.500 0.500 0.500
4 U 0.000 0.000 0.000

The value obtained for the formation energy is -1.0604 eV/atom. The total DFT energy (no corrections) is -155.9 eV per cell. Its space-group type is No. 166. The calculated volume comes out at 122 Å³ per cell.

***

(6)
## YSb (meta-GGA r2SCAN)

Data for a geometry-optimized YSb structure.

Cell: 4.392 4.392 4.392 Å, 60.00 60.00 60.00°
Element x y z (fractional)
1 Sb 0.000 0.000 0.000
2 Y 0.500 0.500 0.500

The value obtained for the formation energy is -1.3864 eV/atom. The total DFT energy (no corrections) is -48.8 eV per cell. Its space-group type is No. 225. The calculated volume comes out at 60 Å³ per cell.